Density functional theory data (PBE) for a relaxed structure of SiO2.

Computed properties:
Corrected total energy (MP2020 scheme): -8.369 eV/atom
Energy relative to the elements: -3.26 eV/atom
Maximum piezoelectric response: 0.0 C/m2
Calculated total energy: -189.9 eV per cell

a b c (Å): 7.303 7.318 7.329
angles (deg): 90.00 90.00 90.00
Positions (direct):
Si1 0.001 0.024 0.483
Si2 0.233 0.244 0.775
Si3 0.267 0.756 0.275
Si4 0.499 0.976 0.983
Si5 0.501 0.476 0.517
Si6 0.733 0.256 0.225
Si7 0.767 0.744 0.725
Si8 0.999 0.524 0.017
O1 0.080 0.165 0.635
O2 0.113 0.639 0.166
O3 0.133 0.375 0.923
O4 0.172 0.924 0.382
O5 0.328 0.076 0.882
O6 0.367 0.625 0.423
O7 0.387 0.361 0.666
O8 0.420 0.835 0.135
O9 0.580 0.335 0.365
O10 0.613 0.861 0.834
O11 0.633 0.125 0.077
O12 0.672 0.576 0.618
O13 0.828 0.424 0.118
O14 0.867 0.875 0.577
O15 0.887 0.139 0.334
O16 0.920 0.665 0.865